A geometry-optimized MgNi2P structure, computed with meta-GGA r2SCAN.

Results
As for the volume: 200.2 Å³/cell. The value obtained for the magnetization is 0.000 μB per cell. The calculation puts the energy relative to the elements at -564 meV/atom. The calculation puts the total DFT energy (no corrections) at -9.848 eV/atom.

a = 6.392 Å, b = 6.288 Å, c = 4.982 Å
α = 90.00°, β = 90.00°, γ = 90.00°
Atoms (fractional coordinates):
Mg 0.019 0.250 0.127
Mg 0.481 0.750 0.627
Mg 0.519 0.250 0.373
Mg 0.981 0.750 0.873
Ni 0.174 0.053 0.599
Ni 0.174 0.447 0.599
Ni 0.326 0.553 0.099
Ni 0.326 0.947 0.099
Ni 0.674 0.053 0.901
Ni 0.674 0.447 0.901
Ni 0.826 0.553 0.401
Ni 0.826 0.947 0.401
P 0.126 0.750 0.377
P 0.374 0.250 0.877
P 0.626 0.750 0.123
P 0.874 0.250 0.623

A geometry-optimized PrGe2Ru2 structure, computed with meta-GGA r2SCAN.

Results
As for the volume: 92.5 Å³/cell. The value obtained for the magnetization is 0.000 μB per cell. The calculation puts the energy relative to the elements at -718 meV/atom. The calculation puts the total DFT energy (no corrections) at -22.317 eV/atom.

a = 5.879 Å, b = 5.879 Å, c = 5.879 Å
α = 137.27°, β = 137.27°, γ = 62.03°
Atoms (fractional coordinates):
Pr 0.000 0.000 0.000
Ge 0.365 0.365 0.000
Ge 0.635 0.635 0.000
Ru 0.250 0.750 0.500
Ru 0.750 0.250 0.500

A geometry-optimized Rb3LaBr6 structure, computed with meta-GGA r2SCAN.

Results
As for the volume: 1578.1 Å³/cell. The value obtained for the magnetization is 0.000 μB per cell. The calculation puts the energy relative to the elements at -2135 meV/atom. The calculation puts the total DFT energy (no corrections) at -17.244 eV/atom.

a = 14.347 Å, b = 8.534 Å, c = 13.609 Å
α = 90.00°, β = 108.70°, γ = 90.00°
Atoms (fractional coordinates):
Rb 0.097 0.042 0.359
Rb 0.097 0.458 0.859
Rb 0.316 0.563 0.264
Rb 0.316 0.937 0.764
Rb 0.318 0.073 0.113
Rb 0.318 0.427 0.613
Rb 0.682 0.573 0.387
Rb 0.682 0.927 0.887
Rb 0.684 0.063 0.236
Rb 0.684 0.437 0.736
Rb 0.903 0.542 0.141
Rb 0.903 0.958 0.641
La 0.000 0.000 0.000
La 0.000 0.500 0.500
La 0.500 0.000 0.500
La 0.500 0.500 0.000
Br 0.103 0.207 0.596
Br 0.103 0.293 0.096
Br 0.120 0.001 0.865
Br 0.120 0.499 0.365
Br 0.145 0.674 0.663
Br 0.145 0.826 0.163
Br 0.339 0.213 0.389
Br 0.339 0.287 0.889
Br 0.340 0.712 0.004
Br 0.340 0.788 0.504
Br 0.499 0.644 0.801
Br 0.499 0.856 0.301
Br 0.501 0.144 0.699
Br 0.501 0.356 0.199
Br 0.660 0.212 0.496
Br 0.660 0.288 0.996
Br 0.661 0.713 0.111
Br 0.661 0.787 0.611
Br 0.855 0.174 0.837
Br 0.855 0.326 0.337
Br 0.880 0.501 0.635
Br 0.880 0.999 0.135
Br 0.897 0.707 0.904
Br 0.897 0.793 0.404

A geometry-optimized GdLuAg2 structure, computed with meta-GGA r2SCAN.

Results
As for the volume: 92.9 Å³/cell. The value obtained for the magnetization is 7.304 μB per cell. The calculation puts the energy relative to the elements at -293 meV/atom. The calculation puts the total DFT energy (no corrections) at -31.340 eV/atom.

a = 5.084 Å, b = 5.084 Å, c = 5.084 Å
α = 60.00°, β = 60.00°, γ = 60.00°
Atoms (fractional coordinates):
Gd 0.000 0.000 0.000
Lu 0.500 0.500 0.500
Ag 0.250 0.250 0.250
Ag 0.750 0.750 0.750